[1]
The following is a DFT calculation (PBE-GGA) of LuSiPt2 after structural relaxation.

Properties
crystal system: orthorhombic

Cell lengths 7.2430, 6.9592, 5.4781 Å; angles 90.00, 90.00, 90.00 degrees
Space group Pnma (No. 62)
Symmetry-distinct sites (fractional):
Lu 0.0277 0.2500 0.1400 [4 per cell]
Si 0.1193 0.7500 0.3609 [4 per cell]
Pt 0.1822 0.0497 0.5918 [8 per cell]



[2]
The following is a DFT calculation (PBE-GGA) of MgCuGe2O6 after structural relaxation.

Properties
crystal system: monoclinic
spin magnetization: 0.100 μB per atom

Cell lengths 10.0801, 9.3951, 5.3060 Å; angles 90.00, 107.16, 90.00 degrees
Space group C2/c (No. 15)
Symmetry-distinct sites (fractional):
Mg 0.0000 0.2463 0.2500 [4 per cell]
Cu 0.0000 0.1069 0.7500 [4 per cell]
Ge 0.2045 0.4080 0.7758 [8 per cell]
O 0.1105 0.0941 0.1200 [8 per cell]
O 0.1225 0.2570 0.6174 [8 per cell]
O 0.1461 0.4416 0.0592 [8 per cell]



[3]
The following is a DFT calculation (PBE-GGA) of KPr3Te8 after structural relaxation.

Properties
crystal system: monoclinic

Cell lengths 14.3859, 13.0098, 9.0573 Å; angles 90.00, 99.00, 90.00 degrees
Space group P2_1/c (No. 14)
Symmetry-distinct sites (fractional):
K 0.0367 0.0920 0.2583 [4 per cell]
Pr 0.3461 0.7493 0.0870 [4 per cell]
Pr 0.3498 0.0848 0.0802 [4 per cell]
Pr 0.3521 0.0840 0.5958 [4 per cell]
Te 0.1638 0.7271 0.7915 [4 per cell]
Te 0.1703 0.5800 0.0334 [4 per cell]
Te 0.1697 0.5808 0.5519 [4 per cell]
Te 0.1724 0.0962 0.7928 [4 per cell]
Te 0.1748 0.2493 0.5433 [4 per cell]
Te 0.4130 0.5797 0.8514 [4 per cell]
Te 0.4157 0.5854 0.3563 [4 per cell]
Te 0.4193 0.2456 0.3550 [4 per cell]



[4]
The following is a DFT calculation (PBE-GGA) of Mg2MnFe3S8 after structural relaxation.

Properties
crystal system: trigonal
spin magnetization: 0.378 μB per atom

Cell lengths 7.0227, 7.0227, 17.1797 Å; angles 90.00, 90.00, 120.00 degrees
Space group R-3m (No. 166, hexagonal axes)
Symmetry-distinct sites (fractional):
Mg 0.0000 0.0000 0.1261 [6 per cell]
Mn 0.0000 0.0000 0.5000 [3 per cell]
Fe 0.0000 0.5000 0.0000 [9 per cell]
S 0.0000 0.0000 0.2680 [6 per cell]
S 0.0365 0.5182 0.2601 [18 per cell]



[5]
The following is a DFT calculation (PBE-GGA) of LiLa2RuO6 after structural relaxation.

Properties
crystal system: monoclinic
spin magnetization: 0.300 μB per atom

Cell lengths 5.5667, 5.7950, 9.6366 Å; angles 90.00, 125.11, 90.00 degrees
Space group P2_1/c (No. 14)
Symmetry-distinct sites (fractional):
Li 0.0000 0.0000 0.0000 [2 per cell]
La 0.2370 0.0595 0.7487 [4 per cell]
Ru 0.5000 0.0000 0.5000 [2 per cell]
O 0.1660 0.1898 0.4553 [4 per cell]
O 0.2638 0.7149 0.4509 [4 per cell]
O 0.3469 0.0272 0.2576 [4 per cell]



[6]
The following is a DFT calculation (PBE-GGA) of Na4Hf2Nb2Si5SO24 after structural relaxation.

Properties
crystal system: triclinic
spin magnetization: 0.000 μB per atom

Cell lengths 9.0451, 9.0550, 22.7730 Å; angles 90.02, 90.29, 119.95 degrees
Space group P1 (No. 1)
Symmetry-distinct sites (fractional):
Na 0.0000 0.0000 0.0000 [1 per cell]
Na 0.0012 0.3202 0.9161 [1 per cell]
Na 0.0123 0.6782 0.4179 [1 per cell]
Na 0.3286 0.6494 0.3350 [1 per cell]
Na 0.3310 0.6615 0.8326 [1 per cell]
Na 0.3500 0.9841 0.2546 [1 per cell]
Na 0.6478 0.3197 0.6752 [1 per cell]
Na 0.6639 0.3099 0.1653 [1 per cell]
Na 0.6860 0.6558 0.5868 [1 per cell]
Na 0.9462 0.2879 0.5883 [1 per cell]
Na 0.9558 0.6522 0.0821 [1 per cell]
Na 0.9990 0.0014 0.5032 [1 per cell]
Hf 0.3069 0.6601 0.1893 [1 per cell]
Hf 0.6423 0.3096 0.0188 [1 per cell]
Hf 0.6500 0.3250 0.8153 [1 per cell]
Hf 0.6594 0.3251 0.3140 [1 per cell]
Hf 0.9758 0.9917 0.1446 [1 per cell]
Hf 0.9772 0.9846 0.6466 [1 per cell]
Nb 0.3022 0.6532 0.9773 [1 per cell]
Nb 0.3149 0.6432 0.6888 [1 per cell]
Nb 0.3173 0.6570 0.4796 [1 per cell]
Nb 0.6436 0.3126 0.5211 [1 per cell]
Nb 0.9627 0.9732 0.3587 [1 per cell]
Nb 0.9686 0.9869 0.8556 [1 per cell]
Si 0.0213 0.3611 0.0833 [1 per cell]
Si 0.0276 0.6555 0.5830 [1 per cell]
Si 0.3151 0.3634 0.5826 [1 per cell]
Si 0.3168 0.9498 0.0855 [1 per cell]
Si 0.3567 0.0317 0.4141 [1 per cell]
Si 0.3569 0.3202 0.9166 [1 per cell]
Si 0.5963 0.9423 0.5861 [1 per cell]
Si 0.6367 0.5995 0.4178 [1 per cell]
Si 0.6381 0.0260 0.9159 [1 per cell]
Si 0.6874 0.6926 0.7482 [1 per cell]
Si 0.6872 0.9850 0.2498 [1 per cell]
Si 0.9306 0.6152 0.9197 [1 per cell]
Si 0.9399 0.3175 0.4191 [1 per cell]
Si 0.9739 0.6952 0.2492 [1 per cell]
Si 0.9760 0.2784 0.7490 [1 per cell]
S 0.2654 0.2737 0.2517 [1 per cell]
S 0.2673 0.9830 0.7507 [1 per cell]
S 0.5992 0.6520 0.0847 [1 per cell]
O 0.0002 0.8181 0.3082 [1 per cell]
O 0.0013 0.1724 0.0860 [1 per cell]
O 0.0016 0.1837 0.8074 [1 per cell]
O 0.1224 0.6216 0.6389 [1 per cell]
O 0.1242 0.6327 0.9252 [1 per cell]
O 0.1254 0.4833 0.1394 [1 per cell]
O 0.1260 0.4908 0.4258 [1 per cell]
O 0.1336 0.9473 0.0862 [1 per cell]
O 0.1351 0.4582 0.0241 [1 per cell]
O 0.1378 0.6764 0.5235 [1 per cell]
O 0.1433 0.1803 0.5875 [1 per cell]
O 0.1520 0.4701 0.7437 [1 per cell]
O 0.1516 0.6842 0.2488 [1 per cell]
O 0.1599 0.1567 0.9079 [1 per cell]
O 0.1622 0.0044 0.4110 [1 per cell]
O 0.1627 0.1933 0.3047 [1 per cell]
O 0.1658 0.9664 0.8034 [1 per cell]
O 0.1825 0.0002 0.6969 [1 per cell]
O 0.1830 0.1684 0.1982 [1 per cell]
O 0.2813 0.8263 0.7463 [1 per cell]
O 0.2872 0.4631 0.5274 [1 per cell]
O 0.2883 0.4462 0.2457 [1 per cell]
O 0.2979 0.8188 0.0308 [1 per cell]
O 0.3241 0.4843 0.9263 [1 per cell]
O 0.3271 0.8387 0.4248 [1 per cell]
O 0.3390 0.8622 0.1460 [1 per cell]
O 0.3493 0.4868 0.6411 [1 per cell]
O 0.4345 0.2836 0.2553 [1 per cell]
O 0.4389 0.1364 0.7535 [1 per cell]
O 0.4437 0.2894 0.9742 [1 per cell]
O 0.4596 0.1560 0.4713 [1 per cell]
O 0.4641 0.1122 0.3551 [1 per cell]
O 0.4731 0.3514 0.8595 [1 per cell]
O 0.4775 0.6329 0.4252 [1 per cell]
O 0.4778 0.8464 0.6426 [1 per cell]
O 0.4799 0.8337 0.9273 [1 per cell]
O 0.4821 0.1379 0.0799 [1 per cell]
O 0.4921 0.3573 0.5761 [1 per cell]
O 0.5011 0.6378 0.1381 [1 per cell]
O 0.5007 0.6874 0.7454 [1 per cell]
O 0.5017 0.8092 0.2494 [1 per cell]
O 0.5039 0.8211 0.5285 [1 per cell]
O 0.5174 0.6701 0.0312 [1 per cell]
O 0.6076 0.1094 0.8582 [1 per cell]
O 0.6136 0.4871 0.3606 [1 per cell]
O 0.6227 0.1343 0.5788 [1 per cell]
O 0.6237 0.5021 0.0818 [1 per cell]
O 0.6526 0.1456 0.2548 [1 per cell]
O 0.6589 0.5025 0.7547 [1 per cell]
O 0.6778 0.5183 0.4763 [1 per cell]
O 0.6896 0.1542 0.9721 [1 per cell]
O 0.7746 0.8075 0.0882 [1 per cell]
O 0.7868 0.9622 0.5889 [1 per cell]
O 0.7951 0.7805 0.6884 [1 per cell]
O 0.7947 0.9741 0.3084 [1 per cell]
O 0.7970 0.8194 0.8039 [1 per cell]
O 0.8049 0.5087 0.2540 [1 per cell]
O 0.8064 0.2945 0.7537 [1 per cell]
O 0.8066 0.0120 0.1935 [1 per cell]
O 0.8134 0.0096 0.9079 [1 per cell]
O 0.8156 0.7896 0.4116 [1 per cell]
O 0.8230 0.2908 0.4781 [1 per cell]
O 0.8270 0.5384 0.9802 [1 per cell]
O 0.8381 0.4795 0.5775 [1 per cell]
O 0.8399 0.3599 0.0805 [1 per cell]
O 0.8473 0.4823 0.8653 [1 per cell]
O 0.8528 0.3582 0.3636 [1 per cell]
O 0.9615 0.1501 0.4112 [1 per cell]
O 0.9647 0.8072 0.9073 [1 per cell]
O 0.9663 0.7950 0.1910 [1 per cell]
O 0.9670 0.1709 0.6902 [1 per cell]
O 0.9970 0.8171 0.5874 [1 per cell]



[7]
The following is a DFT calculation (PBE-GGA) of Nd3Pt4 after structural relaxation.

Properties
crystal system: trigonal

Cell lengths 13.7296, 13.7296, 5.8481 Å; angles 90.00, 90.00, 120.00 degrees
Space group R-3 (No. 148, hexagonal axes)
Symmetry-distinct sites (fractional):
Nd 0.0427 0.2094 0.2386 [18 per cell]
Pt 0.0000 0.0000 0.0000 [3 per cell]
Pt 0.0000 0.0000 0.5000 [3 per cell]
Pt 0.0557 0.2755 0.7216 [18 per cell]



[8]
The following is a DFT calculation (PBE-GGA) of Ba8Sb6S17 after structural relaxation.

Properties
crystal system: monoclinic
spin magnetization: 0.000 μB per atom

Cell lengths 11.6183, 14.0155, 22.8895 Å; angles 90.00, 91.07, 90.00 degrees
Space group P2/c (No. 13)
Symmetry-distinct sites (fractional):
Ba 0.0000 0.0028 0.2500 [2 per cell]
Ba 0.0000 0.3307 0.2500 [2 per cell]
Ba 0.0000 0.3470 0.7500 [2 per cell]
Ba 0.2572 0.3424 0.5703 [4 per cell]
Ba 0.2597 0.0048 0.6015 [4 per cell]
Ba 0.2713 0.3309 0.0897 [4 per cell]
Ba 0.2992 0.0160 0.8818 [4 per cell]
Ba 0.3204 0.3383 0.3843 [4 per cell]
Ba 0.3571 0.3414 0.8855 [4 per cell]
Ba 0.5000 0.1568 0.2500 [2 per cell]
Sb 0.0357 0.1674 0.4090 [4 per cell]
Sb 0.0619 0.1917 0.9243 [4 per cell]
Sb 0.0681 0.4829 0.9249 [4 per cell]
Sb 0.3416 0.4984 0.2202 [4 per cell]
Sb 0.3457 0.1791 0.7232 [4 per cell]
Sb 0.4804 0.1530 0.4942 [4 per cell]
S 0.0135 0.0256 0.8973 [4 per cell]
S 0.0367 0.3472 0.4505 [4 per cell]
S 0.1278 0.1751 0.1600 [4 per cell]
S 0.1553 0.4926 0.6667 [4 per cell]
S 0.1593 0.4979 0.8295 [4 per cell]
S 0.1630 0.2107 0.8318 [4 per cell]
S 0.1641 0.2047 0.6703 [4 per cell]
S 0.1678 0.1726 0.3272 [4 per cell]
S 0.2362 0.1676 0.9854 [4 per cell]
S 0.2524 0.4791 0.9796 [4 per cell]
S 0.2682 0.1442 0.4878 [4 per cell]
S 0.3059 0.0097 0.7422 [4 per cell]
S 0.3242 0.3290 0.2400 [4 per cell]
S 0.4549 0.4972 0.1296 [4 per cell]
S 0.4637 0.1656 0.6331 [4 per cell]
S 0.4826 0.1428 0.1135 [4 per cell]
S 0.4928 0.3256 0.4970 [4 per cell]



Number 1: total energy -6.701 eV/atom, density 14.27 g/cm3. Number 2: total energy -6.076 eV/atom, density 4.55 g/cm3. Number 3: total energy -4.536 eV/atom, density 5.88 g/cm3. Number 4: total energy -5.671 eV/atom, density 3.58 g/cm3. Number 5: total energy -7.524 eV/atom, density 6.29 g/cm3. Number 6: total energy -7.742 eV/atom, density 3.67 g/cm3. Number 7: total energy -6.598 eV/atom, density 12.66 g/cm3. Number 8: total energy -4.815 eV/atom, density 4.23 g/cm3.